Material: Na2Sr7Al6F34
Method: DFT, GGA-PBE
State: optimized geometry

Its space group is C2/m, No. 12. Its theoretical density is 3.8 Mg/m³. Its total energy is -5.736 eV per atom. For the MP2020-corrected energy, the calculation gives -296.8 eV per cell.

a b c (Å): 9.8156 9.8156 7.3744
angles (deg): 99.37 99.37 68.16
Closest atoms and distances in Å follow each position.
Fractional positions:
Na  0.0000  0.0000  0.0000  6 F 2.20-2.43
Na  0.0000  0.0000  0.5000  6 F 2.23-2.29
Sr  0.0518  0.6569  0.6973  7 F 2.43-2.61
Sr  0.2397  0.2397  0.8817  7 F 2.58-2.69
Sr  0.3431  0.9482  0.3027  7 F 2.43-2.61
Sr  0.5000  0.5000  0.0000  10 F 2.58-2.87
Sr  0.6569  0.0518  0.6973  7 F 2.43-2.61
Sr  0.7603  0.7603  0.1183  7 F 2.58-2.69
Sr  0.9482  0.3431  0.3027  7 F 2.43-2.61
Al  0.1470  0.6326  0.2018  6 F 1.80-1.86
Al  0.3317  0.3317  0.4566  6 F 1.81-1.85
Al  0.3674  0.8530  0.7982  6 F 1.80-1.86
Al  0.6326  0.1470  0.2018  6 F 1.80-1.86
Al  0.6683  0.6683  0.5434  6 F 1.81-1.85
Al  0.8530  0.3674  0.7982  6 F 1.80-1.86
F  0.0142  0.7527  0.0356  1 Al 1.84
F  0.0177  0.5378  0.1881  1 Al 1.81
F  0.0552  0.7556  0.3914  1 Al 1.81
F  0.0772  0.0772  0.2806  2 Na 2.20-2.23, 2 Sr 2.43
F  0.1520  0.3860  0.5421  1 Al 1.83
F  0.2378  0.5014  0.0072  1 Al 1.86
F  0.2444  0.9448  0.6086  1 Al 1.81
F  0.2473  0.9858  0.9644  1 Al 1.84
F  0.2541  0.2541  0.2371  1 Al 1.85
F  0.2770  0.5107  0.3707  2 Al 1.82-1.86
F  0.2784  0.7219  0.2050  1 Al 1.80
F  0.2781  0.7216  0.7950  1 Al 1.80
F  0.3860  0.1520  0.5421  1 Al 1.83
F  0.3987  0.3987  0.6835  1 Al 1.81
F  0.4622  0.9823  0.8119  1 Al 1.81
F  0.4893  0.7230  0.6293  2 Al 1.82-1.86
F  0.4986  0.7622  0.9928  1 Al 1.86
F  0.5014  0.2378  0.0072  1 Al 1.86
F  0.5107  0.2770  0.3707  2 Al 1.82-1.86
F  0.5378  0.0177  0.1881  1 Al 1.81
F  0.6013  0.6013  0.3165  1 Al 1.81
F  0.6140  0.8480  0.4579  1 Al 1.83
F  0.7219  0.2784  0.2050  1 Al 1.80
F  0.7216  0.2781  0.7950  1 Al 1.80
F  0.7230  0.4893  0.6293  2 Al 1.82-1.86
F  0.7459  0.7459  0.7629  1 Al 1.85
F  0.7527  0.0142  0.0356  1 Al 1.84
F  0.7556  0.0552  0.3914  1 Al 1.81
F  0.7622  0.4986  0.9928  1 Al 1.86
F  0.8480  0.6140  0.4579  1 Al 1.83
F  0.9228  0.9228  0.7194  2 Na 2.20-2.23, 2 Sr 2.43
F  0.9448  0.2444  0.6086  1 Al 1.81
F  0.9823  0.4622  0.8119  1 Al 1.81
F  0.9858  0.2473  0.9644  1 Al 1.84